[1]
Material: Rb3Sc2Br9
Method: DFT, PBE
State: relaxed

## Properties
Space group: P6_3/mmc
Formation energy in eV per atom: -2.129

Cell: 7.678 7.678 19.693 Å, 90.00 90.00 120.00°
Positions (direct):
Rb1 0.000 0.000 0.250
Rb2 0.000 0.000 0.750
Rb3 0.333 0.667 0.070
Rb4 0.333 0.667 0.430
Rb5 0.667 0.333 0.570
Rb6 0.667 0.333 0.930
Sc1 0.333 0.667 0.657
Sc2 0.333 0.667 0.843
Sc3 0.667 0.333 0.157
Sc4 0.667 0.333 0.343
Br1 0.019 0.509 0.750
Br2 0.168 0.337 0.590
Br3 0.168 0.337 0.910
Br4 0.168 0.832 0.590
Br5 0.168 0.832 0.910
Br6 0.337 0.168 0.090
Br7 0.337 0.168 0.410
Br8 0.491 0.509 0.750
Br9 0.491 0.981 0.750
Br10 0.509 0.019 0.250
Br11 0.509 0.491 0.250
Br12 0.663 0.832 0.590
Br13 0.663 0.832 0.910
Br14 0.832 0.168 0.090
Br15 0.832 0.168 0.410
Br16 0.832 0.663 0.090
Br17 0.832 0.663 0.410
Br18 0.981 0.491 0.250

***

[2]
Material: Rb2ScTlBr6
Method: DFT, PBE
State: relaxed

## Properties
Space group: Fm-3m
Formation energy in eV per atom: -1.888

Cell: 8.262 8.262 8.262 Å, 60.00 60.00 60.00°
Positions (direct):
Rb1 0.250 0.250 0.250
Rb2 0.750 0.750 0.750
Sc1 0.000 0.000 0.000
Tl1 0.500 0.500 0.500
Br1 0.228 0.228 0.772
Br2 0.228 0.772 0.228
Br3 0.228 0.772 0.772
Br4 0.772 0.228 0.228
Br5 0.772 0.228 0.772
Br6 0.772 0.772 0.228

***

[3]
Material: Rb2SnBr6
Method: DFT, PBE
State: relaxed

## Properties
Space group: Fm-3m
Formation energy in eV per atom: -1.571

Cell: 7.781 7.781 7.781 Å, 60.00 60.00 60.00°
Positions (direct):
Rb1 0.250 0.250 0.250
Rb2 0.750 0.750 0.750
Sn1 0.000 0.000 0.000
Br1 0.241 0.241 0.759
Br2 0.241 0.759 0.241
Br3 0.241 0.759 0.759
Br4 0.759 0.241 0.241
Br5 0.759 0.241 0.759
Br6 0.759 0.759 0.241

***

[4]
Material: RbSn2Br5
Method: DFT, PBE
State: relaxed

## Properties
Space group: I4/mcm
Formation energy in eV per atom: -1.381

Cell: 9.734 9.734 9.734 Å, 127.97 127.97 76.67°
Positions (direct):
Rb1 0.250 0.250 0.000
Rb2 0.750 0.750 0.000
Sn1 0.179 0.679 0.858
Sn2 0.321 0.179 0.500
Sn3 0.679 0.821 0.500
Sn4 0.821 0.321 0.142
Br1 0.000 0.000 0.000
Br2 0.030 0.208 0.500
Br3 0.208 0.708 0.178
Br4 0.292 0.470 0.500
Br5 0.470 0.970 0.178
Br6 0.500 0.500 0.000
Br7 0.530 0.030 0.822
Br8 0.708 0.530 0.500
Br9 0.792 0.292 0.822
Br10 0.970 0.792 0.500

***

[5]
Material: RbTiBr3
Method: DFT, PBE
State: relaxed

## Properties
Space group: P6_3/mmc
Formation energy in eV per atom: -1.687

Cell: 7.844 7.844 5.908 Å, 90.00 90.00 120.00°
Positions (direct):
Rb1 0.333 0.667 0.250
Rb2 0.667 0.333 0.750
Ti1 0.000 0.000 0.000
Ti2 0.000 0.000 0.500
Br1 0.164 0.329 0.750
Br2 0.164 0.836 0.750
Br3 0.329 0.164 0.250
Br4 0.671 0.836 0.750
Br5 0.836 0.164 0.250
Br6 0.836 0.671 0.250

***

[6]
Material: RbTlBr3
Method: DFT, PBE
State: relaxed

## Properties
Space group: Cm
Formation energy in eV per atom: -1.395

Cell: 5.836 5.836 5.833 Å, 90.03 90.03 90.01°
Positions (direct):
Rb1 0.000 0.000 0.000
Tl1 0.502 0.502 0.516
Br1 0.489 0.489 0.015
Br2 0.502 0.998 0.514
Br3 0.998 0.502 0.514

***

[7]
Material: Rb3TlBr6
Method: DFT, PBE
State: relaxed

## Properties
Space group: Fm-3m
Formation energy in eV per atom: -1.536

Cell: 8.522 8.522 8.522 Å, 60.00 60.00 60.00°
Positions (direct):
Rb1 0.000 0.000 0.000
Rb2 0.250 0.250 0.250
Rb3 0.750 0.750 0.750
Tl1 0.500 0.500 0.500
Br1 0.269 0.269 0.731
Br2 0.269 0.731 0.269
Br3 0.269 0.731 0.731
Br4 0.731 0.269 0.269
Br5 0.731 0.269 0.731
Br6 0.731 0.731 0.269

***

[8]
Material: RbTlBr3
Method: DFT, PBE
State: relaxed

## Properties
Space group: R3c
Formation energy in eV per atom: -1.392

Cell: 8.228 8.228 8.228 Å, 60.01 60.01 60.01°
Positions (direct):
Rb1 0.000 0.000 0.000
Rb2 0.500 0.500 0.500
Tl1 0.269 0.269 0.269
Tl2 0.769 0.769 0.769
Br1 0.029 0.447 0.595
Br2 0.095 0.947 0.529
Br3 0.447 0.595 0.029
Br4 0.529 0.095 0.947
Br5 0.595 0.029 0.447
Br6 0.947 0.529 0.095

***

[9]
Material: RbTlBr3
Method: DFT, PBE
State: relaxed

## Properties
Space group: Fm-3m
Formation energy in eV per atom: -1.393

Cell: 8.344 8.344 8.344 Å, 60.00 60.00 60.00°
Positions (direct):
Rb1 0.250 0.250 0.250
Rb2 0.750 0.750 0.750
Tl1 0.000 0.000 0.000
Tl2 0.500 0.500 0.500
Br1 0.238 0.238 0.762
Br2 0.238 0.762 0.238
Br3 0.238 0.762 0.762
Br4 0.762 0.238 0.238
Br5 0.762 0.238 0.762
Br6 0.762 0.762 0.238

***

[10]
Material: RbTmBr3
Method: DFT, PBE
State: relaxed

## Properties
Space group: Pnma
Formation energy in eV per atom: -1.839

Cell: 8.098 11.134 7.598 Å, 90.00 90.00 90.00°
Positions (direct):
Rb1 0.065 0.250 0.029
Rb2 0.435 0.750 0.529
Rb3 0.565 0.250 0.471
Rb4 0.935 0.750 0.971
Tm1 0.000 0.000 0.500
Tm2 0.000 0.500 0.500
Tm3 0.500 0.000 0.000
Tm4 0.500 0.500 0.000
Br1 0.011 0.750 0.422
Br2 0.211 0.534 0.794
Br3 0.211 0.966 0.794
Br4 0.289 0.034 0.294
Br5 0.289 0.466 0.294
Br6 0.489 0.250 0.922
Br7 0.511 0.750 0.078
Br8 0.711 0.534 0.706
Br9 0.711 0.966 0.706
Br10 0.789 0.034 0.206
Br11 0.789 0.466 0.206
Br12 0.989 0.250 0.578

***

[11]
Material: Rb5Tm3Br12
Method: DFT, PBE
State: relaxed

## Properties
Space group: P-62m
Formation energy in eV per atom: -2.031

Cell: 14.088 14.088 4.439 Å, 90.00 90.00 120.00°
Positions (direct):
Rb1 0.000 0.717 0.000
Rb2 0.283 0.283 0.000
Rb3 0.333 0.667 0.000
Rb4 0.667 0.333 0.000
Rb5 0.717 0.000 0.000
Tm1 0.000 0.325 0.500
Tm2 0.325 0.000 0.500
Tm3 0.675 0.675 0.500
Br1 0.000 0.193 0.000
Br2 0.000 0.455 0.000
Br3 0.193 0.000 0.000
Br4 0.211 0.771 0.500
Br5 0.229 0.440 0.500
Br6 0.440 0.229 0.500
Br7 0.455 0.000 0.000
Br8 0.545 0.545 0.000
Br9 0.560 0.789 0.500
Br10 0.771 0.211 0.500
Br11 0.789 0.560 0.500
Br12 0.807 0.807 0.000

***

[12]
Material: Rb2UBr5
Method: DFT, PBE
State: relaxed

## Properties
Space group: Pnma
Formation energy in eV per atom: -1.917

Cell: 14.174 9.366 8.820 Å, 90.00 90.00 90.00°
Positions (direct):
Rb1 0.174 0.000 0.037
Rb2 0.174 0.500 0.037
Rb3 0.326 0.000 0.537
Rb4 0.326 0.500 0.537
Rb5 0.674 0.000 0.463
Rb6 0.674 0.500 0.463
Rb7 0.826 0.000 0.963
Rb8 0.826 0.500 0.963
U1 0.001 0.250 0.570
U2 0.499 0.750 0.070
U3 0.501 0.250 0.930
U4 0.999 0.750 0.430
Br1 0.012 0.250 0.909
Br2 0.081 0.541 0.654
Br3 0.081 0.959 0.654
Br4 0.167 0.250 0.368
Br5 0.196 0.750 0.331
Br6 0.304 0.250 0.831
Br7 0.333 0.750 0.868
Br8 0.419 0.041 0.154
Br9 0.419 0.459 0.154
Br10 0.488 0.750 0.409
Br11 0.512 0.250 0.591
Br12 0.581 0.541 0.846
Br13 0.581 0.959 0.846
Br14 0.667 0.250 0.132
Br15 0.696 0.750 0.169
Br16 0.804 0.250 0.669
Br17 0.833 0.750 0.632
Br18 0.919 0.041 0.346
Br19 0.919 0.459 0.346
Br20 0.988 0.750 0.091